Density functional theory data (r2SCAN) for a relaxed structure of Lu2Si5Ir3.

**Calculated density**: 10.98 g/cm³
**V**: 161 Å³/f.u.
**Symmetry**: C2/c (15)
**ΔH_f (0 K)**: -23.341 kcal/mol of atoms

Geometry as POSCAR:
```
Lu2Si5Ir3
1.0
6.114 -5.150 1.000
2.060 3.987 6.694
-6.018 -4.684 -2.595
Lu Si Ir
4 10 6
Cartesian
-0.885 -2.736 2.698
1.149 -7.754 -0.221
1.007 1.907 5.321
3.040 -3.111 2.401
-2.812 -3.613 0.685
1.258 -2.335 4.835
0.898 -3.511 0.264
4.944 -1.019 6.609
4.967 -2.234 4.414
-2.788 -4.828 -1.509
1.250 -0.492 3.132
3.144 -5.673 4.073
-0.989 -0.174 1.026
0.905 -5.354 1.967
1.156 -1.311 0.891
0.999 -4.536 4.209
-0.942 -5.091 0.227
-0.847 0.635 3.313
3.097 -0.756 4.872
3.003 -6.482 1.786
```